Compound: Cs2Sb4S7
Source: the Materials Project database
Functional: PBE
Structure: optimized geometry

The value obtained for the energy of formation is -827 meV/atom. As for the space-group type: No. 14.

The structure in extended XYZ format:
```
52
Lattice="11.597 0.000 0.000 0.000 12.493 0.000 -2.092 0.000 11.975" Properties=species:S:1:pos:R:3 pbc="T T T"
Cs -0.137 0.883 2.053
Cs -1.182 5.364 8.040
Cs 3.564 6.807 9.648
Cs 4.610 11.933 3.660
Cs 4.895 0.560 8.315
Cs 5.941 5.686 2.327
Cs 10.687 7.129 3.935
Cs 9.641 11.610 9.922
Sb 0.547 1.816 7.051
Sb 1.592 4.431 1.063
Sb 2.217 8.033 0.618
Sb 1.171 10.706 6.605
Sb 1.428 1.763 11.346
Sb 2.474 4.484 5.359
Sb 3.296 8.237 5.085
Sb 2.251 10.502 11.073
Sb 7.254 1.991 0.903
Sb 6.208 4.256 6.890
Sb 7.031 8.009 6.616
Sb 8.077 10.730 0.629
Sb 8.334 1.787 5.370
Sb 7.288 4.460 11.357
Sb 7.912 8.062 10.912
Sb 8.958 10.677 4.924
S -0.762 2.556 10.788
S 0.284 3.691 4.800
S 1.357 0.301 5.253
S 0.311 5.945 11.241
S 0.575 9.101 10.063
S 1.621 9.638 4.076
S 2.379 6.310 2.659
S 1.333 12.429 8.646
S 1.903 6.675 6.467
S 2.949 12.064 0.479
S 3.555 3.001 1.596
S 2.509 3.246 7.583
S 4.564 8.815 0.982
S 3.518 9.924 6.970
S 5.987 2.569 5.005
S 4.941 3.678 10.993
S 6.996 9.247 4.392
S 5.950 9.492 10.380
S 6.556 0.429 11.496
S 7.602 5.818 5.508
S 8.172 0.064 3.329
S 7.126 6.182 9.316
S 7.884 2.855 7.899
S 8.930 3.392 1.912
S 9.194 6.548 0.734
S 8.148 12.192 6.722
S 9.221 8.802 7.175
S 10.266 9.937 1.187
```



Compound: Zr2P2SO12
Source: the Materials Project database
Functional: PBE
Structure: optimized geometry

The calculation puts the spin magnetization at 0.00 μB per atom. The value obtained for the energy of formation is -2975 meV/atom.

The structure in extended XYZ format:
```
102
Lattice="-4.862 -0.463 7.521 -0.062 -6.850 -5.808 17.982 -9.471 11.042" Properties=species:S:1:pos:R:3 pbc="T T T"
O 6.124 -8.986 7.958
O 6.607 -11.473 8.132
O 3.398 -7.929 8.258
O 1.396 -8.652 4.901
O 4.564 -5.241 8.753
O 7.640 -9.286 2.359
O 0.197 -4.775 7.194
O 14.263 -9.909 13.178
O 5.803 -10.457 4.334
O 7.331 -6.284 8.419
O 3.095 -8.375 0.282
O 0.722 -4.515 9.654
O 9.645 -13.459 11.568
O 0.666 -2.180 1.500
O -2.320 -1.415 7.039
O -1.790 -5.171 5.097
O 15.910 -15.086 8.129
O 3.392 -3.236 1.200
O -0.325 -7.848 3.374
O 7.211 -8.910 11.467
O -2.823 -1.659 4.698
O 10.992 -13.215 7.496
O 14.925 -11.570 7.657
O 5.862 -7.864 1.285
O 9.654 -5.866 7.946
O 8.546 -11.601 3.980
O 5.422 -7.489 10.410
O 8.594 -13.613 8.043
O -0.680 -2.424 5.572
O 0.952 -6.315 4.742
O 3.875 -5.724 1.374
O 7.133 -9.515 -0.125
O -3.589 -4.319 3.554
O 16.645 -12.374 9.184
O 11.661 -8.041 7.837
O -1.732 -2.578 2.048
O 8.316 -9.801 8.892
O 12.868 -11.986 5.514
O 2.628 -8.589 -2.157
O 16.202 -10.037 9.026
O 13.483 -12.560 12.086
O 0.632 -5.151 -1.923
O 7.791 -10.061 6.431
O 9.618 -8.861 4.476
O 9.927 -8.415 12.441
O 1.998 -7.430 2.900
O 13.718 -14.271 7.196
O 11.020 -9.336 9.881
O 5.889 -7.274 12.848
O 12.365 -12.231 3.173
O 13.016 -12.775 9.647
O 5.274 -6.700 6.277
O 12.385 -11.615 14.704
O -1.200 -6.937 -0.373
O -3.092 -6.805 3.707
O 9.051 -7.089 9.947
O 14.805 -14.196 10.704
O 2.024 -3.576 5.239
O 4.771 -6.945 3.935
O -0.461 -4.229 0.637
O 6.914 -7.709 4.809
O 0.046 -4.001 3.122
O 4.479 -3.161 4.709
O 15.385 -15.347 5.669
O 12.349 -14.610 11.234
O 3.364 -10.900 4.835
O 6.456 -5.373 4.673
O 9.188 -11.122 11.431
O 4.005 -9.605 2.791
O 12.158 -10.527 7.990
O 10.434 -8.186 14.926
O 13.459 -8.893 9.380
P -0.369 -3.277 1.834
P 10.018 -7.462 13.638
P 12.076 -9.200 8.766
P 4.472 -4.332 1.099
P 14.798 -15.367 7.095
P 7.204 -10.081 7.857
P 13.422 -13.564 10.913
P 5.828 -8.278 11.676
P 3.096 -2.529 4.918
P 4.420 -10.764 3.720
P -3.174 -5.478 4.482
P 7.225 -8.562 1.072
Zr 12.842 -12.445 7.656
Zr 14.349 -11.885 13.770
Zr 5.248 -7.160 8.419
Zr 1.544 -3.862 11.432
Zr 0.129 -4.414 5.178
Zr 2.517 -1.410 1.661
Zr 7.722 -9.700 4.416
Zr -1.249 -4.963 -1.134
Zr 15.378 -8.136 9.462
Zr 9.138 -9.148 10.670
Zr 6.755 -6.599 14.532
Zr 3.961 -7.699 1.966
S 8.649 -6.015 9.012
S -1.756 -1.415 5.679
S 0.994 -7.579 3.967
S 5.838 -6.700 4.917
S 13.432 -11.986 4.154
S 16.243 -11.301 8.250
```